CaAgSn | GGA-PBE | relaxed

As for the formation energy: -0.53 eV/atom. For the electronic total energy, the calculation gives -3.475 eV per atom.

The structure belongs to space group P3m1 (No. 156); the cell edges are 4.8609, 4.8609 and 11.0447 Å and the angles 90.00°, 90.00° and 120.00°. The distinct sites, in fractional coordinates, are Ca at (0.0000, 0.0000, 0.0000), Ca at (0.0000, 0.0000, 0.3324), Ca at (0.0000, 0.0000, 0.6648), Ag at (0.3333, 0.6667, 0.1418), Ag at (0.3333, 0.6667, 0.5201), Ag at (0.6667, 0.3333, 0.8252), Sn at (0.3333, 0.6667, 0.8353), Sn at (0.6667, 0.3333, 0.1868) and Sn at (0.6667, 0.3333, 0.4812).



TlInCl3 | GGA-PBE | relaxed

As for the formation energy: -1.38 eV/atom. For the electronic total energy, the calculation gives -3.141 eV per atom.

The structure belongs to space group P1 (No. 1); the cell edges are 7.690, 7.754 and 8.030 Å and the angles 62.57°, 62.14° and 60.83°. The distinct sites, in fractional coordinates, are Tl at (0.000, 0.000, 0.000), Tl at (0.498, 0.495, 0.509), In at (0.195, 0.178, 0.405), In at (0.703, 0.689, 0.885), Cl at (0.417, 0.931, 0.195), Cl at (0.417, 0.945, 0.646), Cl at (0.425, 0.399, 0.205), Cl at (0.946, 0.397, 0.199), Cl at (0.960, 0.401, 0.646) and Cl at (0.966, 0.946, 0.647).



Li3Mg5Bi3Pb | GGA-PBE | relaxed

As for the formation energy: -0.29 eV/atom. For the electronic total energy, the calculation gives -2.718 eV per atom.

The structure belongs to space group R3m (No. 160, hexagonal axes); the cell edges are 4.8927, 4.8927 and 47.0140 Å and the angles 90.00°, 90.00° and 120.00°. The distinct sites, in fractional coordinates, are Li at (0.0000, 0.0000, 0.0000), Li at (0.0000, 0.0000, 0.2499), Li at (0.0000, 0.0000, 0.5000), Mg at (0.0000, 0.0000, 0.1246), Mg at (0.0000, 0.0000, 0.3750), Mg at (0.0000, 0.0000, 0.6253), Mg at (0.0000, 0.0000, 0.7495), Mg at (0.0000, 0.0000, 0.8755), Bi at (0.0000, 0.0000, 0.3126), Bi at (0.0000, 0.0000, 0.5625), Bi at (0.0000, 0.0000, 0.8132) and Pb at (0.0000, 0.0000, 0.0627).



BaSrTbBiO6 | GGA-PBE | relaxed

As for the formation energy: -2.78 eV/atom. The calculation puts the energy above the most stable polymorph in this dataset at 0.038 eV/atom. For the electronic total energy, the calculation gives -6.550 eV per atom.

The structure belongs to space group F-43m (No. 216); the cell edges are 8.677, 8.677 and 8.677 Å and the angles 90.00°, 90.00° and 90.00°. The distinct sites, in fractional coordinates, are Ba at (0.000, 0.000, 0.000), Sr at (0.000, 0.000, 0.500), Tb at (0.250, 0.250, 0.750), Bi at (0.250, 0.250, 0.250) and O at (0.006, 0.250, 0.250).



The highest electronic total energy belongs to which entry?
Li3Mg5Bi3Pb



Please write out number 3 again, unchanged.
Li3Mg5Bi3Pb | GGA-PBE | relaxed

As for the formation energy: -0.29 eV/atom. For the electronic total energy, the calculation gives -2.718 eV per atom.

The structure belongs to space group R3m (No. 160, hexagonal axes); the cell edges are 4.8927, 4.8927 and 47.0140 Å and the angles 90.00°, 90.00° and 120.00°. The distinct sites, in fractional coordinates, are Li at (0.0000, 0.0000, 0.0000), Li at (0.0000, 0.0000, 0.2499), Li at (0.0000, 0.0000, 0.5000), Mg at (0.0000, 0.0000, 0.1246), Mg at (0.0000, 0.0000, 0.3750), Mg at (0.0000, 0.0000, 0.6253), Mg at (0.0000, 0.0000, 0.7495), Mg at (0.0000, 0.0000, 0.8755), Bi at (0.0000, 0.0000, 0.3126), Bi at (0.0000, 0.0000, 0.5625), Bi at (0.0000, 0.0000, 0.8132) and Pb at (0.0000, 0.0000, 0.0627).